# 1
The following is a GGA+U calculation of a relaxed structure of TmMoClO4, from Materials Project.

Calculated values
Formation energy in eV/atom: -2.599
Energy with MP2020 corrections in eV per atom: -7.879
Size of the total moment in μB per cell: 0.00
V in Å³/cell: 485
Final energy in eV/atom: -7.03
ρ in g/cm³: 5.0

```
data_TmMoClO4
_chemical_formula_sum 'Tm4 Mo4 Cl4 O16'
_symmetry_space_group_name_H-M 'C 1 2/m 1'
_symmetry_Int_Tables_number 12
_cell_length_a 10.217
_cell_length_b 7.241
_cell_length_c 6.876
_cell_angle_alpha 90.00
_cell_angle_beta 107.54
_cell_angle_gamma 90.00
loop_
_symmetry_equiv_pos_as_xyz
'x,y,z'
'-x,-y,-z'
'-x,y,-z'
'x,-y,z'
'x+1/2,y+1/2,z'
'-x+1/2,-y+1/2,-z'
'-x+1/2,y+1/2,-z'
'x+1/2,-y+1/2,z'
loop_
_atom_site_label
_atom_site_fract_x
_atom_site_fract_y
_atom_site_fract_z
Tm1 0.222 0.000 0.113
Mo1 0.138 0.500 0.269
Cl1 0.010 0.000 0.768
O1 0.045 0.500 0.800
O2 0.201 0.307 0.154
O3 0.206 0.500 0.538
```



# 2
The following is a GGA+U calculation of a relaxed structure of La2WO6, from Materials Project.

Calculated values
Formation energy in eV/atom: -3.274
Energy with MP2020 corrections in eV per atom: -9.109
Size of the total moment in μB per cell: 0.00
V in Å³/cell: 529
Final energy in eV/atom: -8.16
ρ in g/cm³: 7.0

```
data_La2WO6
_chemical_formula_sum 'La8 W4 O24'
_symmetry_space_group_name_H-M 'P 1 2/c 1'
_symmetry_Int_Tables_number 13
_cell_length_a 8.024
_cell_length_b 5.652
_cell_length_c 11.998
_cell_angle_alpha 90.00
_cell_angle_beta 103.45
_cell_angle_gamma 90.00
loop_
_symmetry_equiv_pos_as_xyz
'x,y,z'
'-x,-y,-z'
'-x,y,-z+1/2'
'x,-y,z+1/2'
loop_
_atom_site_label
_atom_site_fract_x
_atom_site_fract_y
_atom_site_fract_z
La1 0.000 0.185 0.250
La2 0.297 0.304 0.924
La3 0.500 0.238 0.250
W1 0.222 0.248 0.614
O1 0.001 0.137 0.889
O2 0.138 0.349 0.460
O3 0.208 0.497 0.224
O4 0.281 0.042 0.765
O5 0.351 0.009 0.070
O6 0.431 0.456 0.603
```



# 3
The following is a GGA+U calculation of a relaxed structure of CaW2O4, from Materials Project.

Calculated values
Formation energy in eV/atom: -1.862
Energy with MP2020 corrections in eV per atom: -8.679
Offset from the most stable computed form in meV per atom: 208
Size of the total moment in μB per cell: 96.00
V in Å³/cell: 1606
Final energy in eV/atom: -7.02
ρ in g/cm³: 7.8

```
data_CaW2O4
_chemical_formula_sum 'Ca16 W32 O64'
_symmetry_space_group_name_H-M 'C 1 m 1'
_symmetry_Int_Tables_number 8
_cell_length_a 11.311
_cell_length_b 6.554
_cell_length_c 22.134
_cell_angle_alpha 90.00
_cell_angle_beta 101.75
_cell_angle_gamma 90.00
loop_
_symmetry_equiv_pos_as_xyz
'x,y,z'
'x,-y,z'
'x+1/2,y+1/2,z'
'x+1/2,-y+1/2,z'
loop_
_atom_site_label
_atom_site_fract_x
_atom_site_fract_y
_atom_site_fract_z
Ca1 0.000 0.000 0.000
Ca2 0.002 0.500 0.499
Ca3 0.029 0.500 0.096
Ca4 0.130 0.500 0.374
Ca5 0.248 0.000 0.750
Ca6 0.262 0.500 0.252
Ca7 0.276 0.500 0.844
Ca8 0.376 0.000 0.626
W1 0.013 0.250 0.251
W2 0.039 0.000 0.596
W3 0.124 0.000 0.874
W4 0.209 0.500 0.655
W5 0.239 0.000 0.156
W6 0.251 0.254 0.000
W7 0.252 0.250 0.500
W8 0.300 0.000 0.348
W9 0.380 0.500 0.124
W10 0.463 0.500 0.402
W11 0.466 0.000 0.904
W12 0.496 0.252 0.750
O1 0.043 0.000 0.688
O2 0.054 0.000 0.191
O3 0.058 0.500 0.700
O4 0.066 0.500 0.199
O5 0.072 0.232 0.935
O6 0.073 0.243 0.441
O7 0.169 0.224 0.811
O8 0.185 0.000 0.554
O9 0.190 0.253 0.311
O10 0.199 0.000 0.059
O11 0.204 0.500 0.555
O12 0.206 0.500 0.058
O13 0.299 0.000 0.447
O14 0.302 0.500 0.948
O15 0.305 0.000 0.943
O16 0.317 0.245 0.689
O17 0.319 0.500 0.448
O18 0.336 0.261 0.187
O19 0.423 0.273 0.062
O20 0.432 0.258 0.560
O21 0.448 0.000 0.300
O22 0.452 0.000 0.809
O23 0.454 0.500 0.807
O24 0.463 0.500 0.310
```



# 4
The following is a GGA+U calculation of a relaxed structure of Li6Fe3P8O29, from Materials Project.

Calculated values
Formation energy in eV/atom: -2.445
Energy with MP2020 corrections in eV per atom: -7.307
Size of the total moment in μB per cell: 48.03
V in Å³/cell: 2405
Final energy in eV/atom: -6.73
ρ in g/cm³: 2.5

```
data_Li6Fe3P8O29
_chemical_formula_sum 'Li24 Fe12 P32 O116'
_symmetry_space_group_name_H-M 'C 1 c 1'
_symmetry_Int_Tables_number 9
_cell_length_a 17.302
_cell_length_b 9.979
_cell_length_c 13.929
_cell_angle_alpha 90.00
_cell_angle_beta 90.30
_cell_angle_gamma 90.00
loop_
_symmetry_equiv_pos_as_xyz
'x,y,z'
'x,-y,z+1/2'
'x+1/2,y+1/2,z'
'x+1/2,-y+1/2,z+1/2'
loop_
_atom_site_label
_atom_site_fract_x
_atom_site_fract_y
_atom_site_fract_z
Li1 0.000 0.000 0.000
Li2 0.010 0.435 0.057
Li3 0.053 0.299 0.683
Li4 0.209 0.234 0.558
Li5 0.276 0.299 0.061
Li6 0.319 0.432 0.684
Fe1 0.163 0.071 0.366
Fe2 0.379 0.288 0.869
Fe3 0.449 0.218 0.371
P1 0.003 0.428 0.281
P2 0.048 0.290 0.463
P3 0.119 0.223 0.961
P4 0.208 0.220 0.777
P5 0.282 0.294 0.281
P6 0.328 0.430 0.464
P7 0.332 0.000 0.490
P8 0.495 0.497 0.246
O1 0.000 0.003 0.636
O2 0.040 0.292 0.964
O3 0.040 0.376 0.552
O4 0.041 0.388 0.188
O5 0.056 0.390 0.371
O6 0.065 0.074 0.287
O7 0.108 0.070 0.949
O8 0.124 0.208 0.463
O9 0.159 0.283 0.865
O10 0.164 0.253 0.686
O11 0.169 0.258 0.046
O12 0.209 0.208 0.283
O13 0.216 0.071 0.797
O14 0.258 0.078 0.463
O15 0.275 0.395 0.372
O16 0.287 0.293 0.780
O17 0.287 0.379 0.190
O18 0.289 0.374 0.552
O19 0.329 0.003 0.602
O20 0.330 0.149 0.959
O21 0.331 0.416 0.966
O22 0.355 0.210 0.296
O23 0.408 0.071 0.459
O24 0.410 0.374 0.448
O25 0.418 0.436 0.779
O26 0.425 0.142 0.793
O27 0.479 0.305 0.947
O28 0.498 0.082 0.283
O29 0.499 0.347 0.277
```



Which of these has the lowest ρ? Li6Fe3P8O29



Among the records above, which one has the lowest energy with MP2020 corrections? La2WO6



What is the energy with MP2020 corrections in the second record? -9.109 eV per atom